# NiIr3 PBE optimized geometry
data_NiIr3
_cell_length_a 3.7966
_cell_length_b 3.7966
_cell_length_c 7.6251
_cell_angle_alpha 90.00
_cell_angle_beta 90.00
_cell_angle_gamma 90.00
_symmetry_space_group_name_H-M 'I 4/m m m'
_symmetry_Int_Tables_number 139
_symmetry_space_group_name_Hall '-I 4 2'
loop_
_atom_site_label
_atom_site_type_symbol
_atom_site_fract_x
_atom_site_fract_y
_atom_site_fract_z
Ni1 Ni 0.0000 0.0000 0.0000
Ir1 Ir 0.0000 0.0000 0.5000
Ir2 Ir 0.0000 0.5000 0.2500
# * formation energy: -0.01 eV/atom
# * calculated volume: 13.7 Å³/atom
# * crystal system: tetragonal

---

# Mg5Zn PBE optimized geometry
data_Mg5Zn
_cell_length_a 11.4853
_cell_length_b 3.1613
_cell_length_c 7.2609
_cell_angle_alpha 90.00
_cell_angle_beta 104.15
_cell_angle_gamma 90.00
_symmetry_space_group_name_H-M 'C 1 m 1'
_symmetry_Int_Tables_number 8
loop_
_symmetry_equiv_pos_as_xyz
'x,y,z'
'x,-y,z'
'x+1/2,y+1/2,z'
'x+1/2,-y+1/2,z'
loop_
_atom_site_label
_atom_site_type_symbol
_atom_site_fract_x
_atom_site_fract_y
_atom_site_fract_z
Mg1 Mg 0.0000 0.0000 0.0000
Mg2 Mg 0.0540 0.0000 0.5927
Mg3 Mg 0.1743 0.5000 0.3235
Mg4 Mg 0.2283 0.5000 0.9430
Mg5 Mg 0.3365 0.0000 0.6553
Zn1 Zn 0.3930 0.0000 0.2709
# * formation energy: 0.00 eV/atom
# * calculated volume: 21.3 Å³/atom
# * crystal system: monoclinic

---

# Hf2CoIr PBE optimized geometry
data_Hf2CoIr
_cell_length_a 6.4291
_cell_length_b 6.4291
_cell_length_c 6.4291
_cell_angle_alpha 90.00
_cell_angle_beta 90.00
_cell_angle_gamma 90.00
_symmetry_space_group_name_H-M 'F m -3 m'
_symmetry_Int_Tables_number 225
_symmetry_space_group_name_Hall '-F 4 2 3'
loop_
_atom_site_label
_atom_site_type_symbol
_atom_site_fract_x
_atom_site_fract_y
_atom_site_fract_z
Hf1 Hf 0.2500 0.2500 0.2500
Co1 Co 0.0000 0.0000 0.0000
Ir1 Ir 0.0000 0.0000 0.5000
# * formation energy: -0.68 eV/atom
# * calculated volume: 16.6 Å³/atom
# * crystal system: cubic

---

# Cs2CoCl4 PBE optimized geometry
data_Cs2CoCl4
_cell_length_a 9.9357
_cell_length_b 7.4686
_cell_length_c 13.1821
_cell_angle_alpha 90.00
_cell_angle_beta 90.00
_cell_angle_gamma 90.00
_symmetry_space_group_name_H-M 'P n m a'
_symmetry_Int_Tables_number 62
loop_
_symmetry_equiv_pos_as_xyz
'x,y,z'
'-x,-y,-z'
'-x+1/2,-y,z+1/2'
'x+1/2,y,-z+1/2'
'x+1/2,-y+1/2,-z+1/2'
'-x+1/2,y+1/2,z+1/2'
'-x,y+1/2,-z'
'x,-y+1/2,z'
loop_
_atom_site_label
_atom_site_type_symbol
_atom_site_fract_x
_atom_site_fract_y
_atom_site_fract_z
Cs1 Cs 0.0207 0.2500 0.1751
Cs2 Cs 0.1410 0.7500 0.4017
Co1 Co 0.2335 0.7500 0.0781
Cl1 Cl 0.0081 0.7500 0.0969
Cl2 Cl 0.1782 0.0065 0.6516
Cl3 Cl 0.1913 0.2500 0.4168
# * formation energy: -1.80 eV/atom
# * calculated volume: 34.9 Å³/atom
# * crystal system: orthorhombic

---

> The highest formation energy belongs to which entry?

Mg5Zn

---

Please write out number 3 again, unchanged.
# Hf2CoIr PBE optimized geometry
data_Hf2CoIr
_cell_length_a 6.4291
_cell_length_b 6.4291
_cell_length_c 6.4291
_cell_angle_alpha 90.00
_cell_angle_beta 90.00
_cell_angle_gamma 90.00
_symmetry_space_group_name_H-M 'F m -3 m'
_symmetry_Int_Tables_number 225
_symmetry_space_group_name_Hall '-F 4 2 3'
loop_
_atom_site_label
_atom_site_type_symbol
_atom_site_fract_x
_atom_site_fract_y
_atom_site_fract_z
Hf1 Hf 0.2500 0.2500 0.2500
Co1 Co 0.0000 0.0000 0.0000
Ir1 Ir 0.0000 0.0000 0.5000
# * formation energy: -0.68 eV/atom
# * calculated volume: 16.6 Å³/atom
# * crystal system: cubic

---

Please write out number 4 again, unchanged.
# Cs2CoCl4 PBE optimized geometry
data_Cs2CoCl4
_cell_length_a 9.9357
_cell_length_b 7.4686
_cell_length_c 13.1821
_cell_angle_alpha 90.00
_cell_angle_beta 90.00
_cell_angle_gamma 90.00
_symmetry_space_group_name_H-M 'P n m a'
_symmetry_Int_Tables_number 62
loop_
_symmetry_equiv_pos_as_xyz
'x,y,z'
'-x,-y,-z'
'-x+1/2,-y,z+1/2'
'x+1/2,y,-z+1/2'
'x+1/2,-y+1/2,-z+1/2'
'-x+1/2,y+1/2,z+1/2'
'-x,y+1/2,-z'
'x,-y+1/2,z'
loop_
_atom_site_label
_atom_site_type_symbol
_atom_site_fract_x
_atom_site_fract_y
_atom_site_fract_z
Cs1 Cs 0.0207 0.2500 0.1751
Cs2 Cs 0.1410 0.7500 0.4017
Co1 Co 0.2335 0.7500 0.0781
Cl1 Cl 0.0081 0.7500 0.0969
Cl2 Cl 0.1782 0.0065 0.6516
Cl3 Cl 0.1913 0.2500 0.4168
# * formation energy: -1.80 eV/atom
# * calculated volume: 34.9 Å³/atom
# * crystal system: orthorhombic

---

> The highest formation energy belongs to which entry?

Mg5Zn